Record 1
Entry from the Materials Project: a relaxed RbTaGeO5 crystal (PBE-GGA).

CIF file:
```
data_RbTaGeO5
_space_group_name_H-M_alt 'P 21 21 21'
_space_group_IT_number 19
_cell_length_a 7.541
_cell_length_b 10.530
_cell_length_c 20.896
_cell_angle_alpha 90.00
_cell_angle_beta 90.00
_cell_angle_gamma 90.00
loop_
_space_group_symop_operation_xyz
'x,y,z'
'-x+1/2,-y,z+1/2'
'x+1/2,-y+1/2,-z'
'-x,y+1/2,-z+1/2'
loop_
_atom_site_label
_atom_site_fract_x
_atom_site_fract_y
_atom_site_fract_z
Rb1 0.222 0.113 0.483
Rb2 0.240 0.119 0.151
Rb3 0.241 0.185 0.833
Ta1 0.013 0.760 0.500
Ta2 0.240 0.486 0.426
Ta3 0.246 0.520 0.600
Ge1 0.019 0.246 0.648
Ge2 0.064 0.770 0.148
Ge3 0.235 0.384 0.269
O1 0.031 0.362 0.412
O2 0.036 0.291 0.275
O3 0.044 0.405 0.630
O4 0.056 0.374 0.071
O5 0.061 0.397 0.938
O6 0.066 0.611 0.126
O7 0.072 0.646 0.575
O8 0.075 0.624 0.435
O9 0.090 0.666 0.913
O10 0.090 0.732 0.776
O11 0.222 0.164 0.664
O12 0.235 0.439 0.514
O13 0.237 0.188 0.998
O14 0.240 0.411 0.188
O15 0.246 0.507 0.325
```

Computed properties:
Magnetic moment ... 0.0 μB/f.u.


Record 2
Entry from the Materials Project: a relaxed Rb3U2Ge2O11 crystal (PBE-GGA).

CIF file:
```
data_Rb3U2Ge2O11
_space_group_name_H-M_alt 'P 1 21/c 1'
_space_group_IT_number 14
_cell_length_a 7.063
_cell_length_b 12.407
_cell_length_c 15.912
_cell_angle_alpha 90.00
_cell_angle_beta 105.37
_cell_angle_gamma 90.00
loop_
_space_group_symop_operation_xyz
'x,y,z'
'-x,-y,-z'
'-x,y+1/2,-z+1/2'
'x,-y+1/2,z+1/2'
loop_
_atom_site_label
_atom_site_fract_x
_atom_site_fract_y
_atom_site_fract_z
Rb1 0.009 0.150 0.088
Rb2 0.047 0.660 0.662
Rb3 0.489 0.173 0.575
U1 0.000 0.000 0.500
U2 0.347 0.557 0.244
U3 0.500 0.000 0.000
Ge1 0.201 0.073 0.325
Ge2 0.457 0.208 0.841
O1 0.038 0.605 0.240
O2 0.047 0.149 0.504
O3 0.190 0.521 0.906
O4 0.239 0.052 0.976
O5 0.264 0.523 0.114
O6 0.298 0.114 0.773
O7 0.309 0.195 0.379
O8 0.339 0.025 0.254
O9 0.396 0.644 0.565
O10 0.403 0.728 0.221
O11 0.422 0.592 0.375
```

Computed properties:
Magnetic moment ... 0.8 μB/f.u.


Record 3
Entry from the Materials Project: a relaxed Rb2ZnGeO4 crystal (PBE-GGA).

CIF file:
```
data_Rb2ZnGeO4
_space_group_name_H-M_alt 'P c a 21'
_space_group_IT_number 29
_cell_length_a 11.555
_cell_length_b 5.796
_cell_length_c 16.393
_cell_angle_alpha 90.00
_cell_angle_beta 90.00
_cell_angle_gamma 90.00
loop_
_space_group_symop_operation_xyz
'x,y,z'
'-x,-y,z+1/2'
'-x+1/2,y,z+1/2'
'x+1/2,-y,z'
loop_
_atom_site_label
_atom_site_fract_x
_atom_site_fract_y
_atom_site_fract_z
Rb1 0.005 0.014 0.000
Rb2 0.010 0.508 0.379
Rb3 0.232 0.033 0.626
Rb4 0.235 0.536 0.755
Zn1 0.016 0.018 0.251
Zn2 0.239 0.512 0.504
Ge1 0.013 0.521 0.129
Ge2 0.233 0.011 0.875
O1 0.008 0.777 0.654
O2 0.012 0.308 0.718
O3 0.086 0.407 0.549
O4 0.100 0.901 0.837
O5 0.158 0.581 0.097
O6 0.175 0.085 0.292
O7 0.199 0.260 0.935
O8 0.202 0.791 0.437
```

Computed properties:
Magnetic moment ... 0.0 μB/f.u.


Record 4
Entry from the Materials Project: a relaxed Sc2SiGe2S5O24 crystal (PBE-GGA).

CIF file:
```
data_Sc2SiGe2S5O24
_space_group_name_H-M_alt 'P 1'
_space_group_IT_number 1
_cell_length_a 8.624
_cell_length_b 8.630
_cell_length_c 22.309
_cell_angle_alpha 90.02
_cell_angle_beta 90.30
_cell_angle_gamma 119.77
loop_
_space_group_symop_operation_xyz
'x,y,z'
loop_
_atom_site_label
_atom_site_fract_x
_atom_site_fract_y
_atom_site_fract_z
Sc1 0.000 0.000 0.000
Sc2 0.002 0.987 0.503
Sc3 0.340 0.666 0.948
Sc4 0.665 0.344 0.825
Sc5 0.668 0.320 0.326
Sc6 0.674 0.323 0.125
Si1 0.053 0.652 0.560
Si2 0.665 0.631 0.722
Si3 0.670 0.027 0.225
Ge1 0.328 0.661 0.456
Ge2 0.340 0.673 0.662
Ge3 0.343 0.672 0.163
Ge4 0.689 0.361 0.620
Ge5 0.995 0.991 0.783
Ge6 0.999 0.001 0.288
S1 0.004 0.718 0.889
S2 0.017 0.295 0.392
S3 0.057 0.389 0.060
S4 0.281 0.276 0.888
S5 0.286 0.990 0.391
S6 0.336 0.948 0.059
S7 0.348 0.387 0.559
S8 0.367 0.331 0.224
S9 0.376 0.041 0.722
S10 0.614 0.958 0.559
S11 0.620 0.662 0.059
S12 0.703 0.711 0.392
S13 0.721 0.002 0.888
S14 0.965 0.331 0.723
S15 0.972 0.635 0.225
O1 0.001 0.819 0.235
O2 0.033 0.826 0.552
O3 0.038 0.833 0.834
O4 0.040 0.210 0.055
O5 0.050 0.214 0.337
O6 0.140 0.494 0.005
O7 0.140 0.616 0.498
O8 0.142 0.490 0.714
O9 0.149 0.647 0.215
O10 0.166 0.703 0.895
O11 0.167 0.195 0.832
O12 0.170 0.955 0.335
O13 0.171 0.470 0.115
O14 0.174 0.964 0.053
O15 0.180 0.691 0.619
O16 0.187 0.215 0.550
O17 0.187 0.474 0.397
O18 0.191 0.167 0.235
O19 0.195 0.025 0.731
O20 0.198 0.171 0.942
O21 0.201 0.016 0.443
O22 0.299 0.454 0.893
O23 0.302 0.833 0.113
O24 0.306 0.827 0.397
O25 0.316 0.469 0.612
O26 0.336 0.485 0.215
O27 0.353 0.860 0.715
O28 0.364 0.867 0.005
O29 0.392 0.503 0.503
O30 0.445 0.299 0.171
O31 0.455 0.154 0.668
O32 0.455 0.289 0.882
O33 0.460 0.150 0.383
O34 0.484 0.373 0.277
O35 0.487 0.116 0.776
O36 0.490 0.652 0.709
O37 0.492 0.125 0.066
O38 0.493 0.832 0.213
O39 0.502 0.879 0.503
O40 0.505 0.360 0.566
O41 0.512 0.637 0.005
O42 0.522 0.699 0.400
O43 0.536 0.695 0.113
O44 0.541 0.840 0.612
O45 0.545 0.839 0.894
O46 0.622 0.132 0.568
O47 0.625 0.507 0.780
O48 0.631 0.118 0.282
O49 0.638 0.505 0.067
O50 0.680 0.534 0.382
O51 0.702 0.159 0.880
O52 0.709 0.538 0.665
O53 0.712 0.154 0.167
O54 0.782 0.827 0.338
O55 0.792 0.982 0.551
O56 0.795 0.826 0.054
O57 0.803 0.968 0.834
O58 0.815 0.793 0.445
O59 0.828 0.028 0.943
O60 0.844 0.287 0.669
O61 0.846 0.827 0.733
O62 0.848 0.542 0.882
O63 0.849 0.010 0.237
O64 0.857 0.563 0.171
O65 0.858 0.471 0.567
O66 0.865 0.324 0.383
O67 0.883 0.376 0.066
O68 0.885 0.362 0.776
O69 0.893 0.524 0.278
O70 0.977 0.800 0.943
O71 0.988 0.185 0.445
O72 0.989 0.172 0.731
```

Computed properties:
Magnetic moment ... 0.0 μB/f.u.


Record 5
Entry from the Materials Project: a relaxed SiGe2S2O12 crystal (PBE-GGA).

CIF file:
```
data_SiGe2S2O12
_space_group_name_H-M_alt 'C 1 c 1'
_space_group_IT_number 9
_cell_length_a 14.543
_cell_length_b 8.393
_cell_length_c 21.808
_cell_angle_alpha 90.00
_cell_angle_beta 90.04
_cell_angle_gamma 90.00
loop_
_space_group_symop_operation_xyz
'x,y,z'
'x,-y,z+1/2'
'x+1/2,y+1/2,z'
'x+1/2,-y+1/2,z+1/2'
loop_
_atom_site_label
_atom_site_fract_x
_atom_site_fract_y
_atom_site_fract_z
Si1 0.000 0.141 0.000
Si2 0.174 0.351 0.167
Si3 0.195 0.289 0.832
Ge1 0.030 0.480 0.062
Ge2 0.038 0.496 0.771
Ge3 0.185 0.014 0.939
Ge4 0.195 0.002 0.729
Ge5 0.359 0.498 0.395
Ge6 0.360 0.498 0.105
S1 0.026 0.214 0.666
S2 0.048 0.146 0.333
S3 0.214 0.352 0.500
S4 0.338 0.142 0.334
S5 0.361 0.207 0.001
S6 0.383 0.143 0.668
O1 0.005 0.309 0.722
O2 0.009 0.332 0.007
O3 0.035 0.319 0.326
O4 0.043 0.311 0.610
O5 0.087 0.069 0.278
O6 0.100 0.058 0.993
O7 0.102 0.393 0.826
O8 0.107 0.131 0.389
O9 0.108 0.114 0.673
O10 0.109 0.378 0.107
O11 0.121 0.421 0.507
O12 0.128 0.437 0.226
O13 0.175 0.180 0.892
O14 0.182 0.161 0.179
O15 0.208 0.178 0.490
O16 0.213 0.177 0.772
O17 0.251 0.433 0.445
O18 0.271 0.373 0.555
O19 0.273 0.435 0.155
O20 0.279 0.125 0.278
O21 0.280 0.103 0.993
O22 0.284 0.401 0.845
O23 0.291 0.070 0.673
O24 0.298 0.070 0.390
O25 0.339 0.304 0.055
O26 0.346 0.316 0.340
O27 0.374 0.316 0.660
O28 0.379 0.304 0.945
O29 0.420 0.063 0.612
O30 0.428 0.066 0.325
O31 0.436 0.386 0.439
O32 0.440 0.120 0.723
O33 0.443 0.387 0.160
O34 0.445 0.112 0.010
O35 0.455 0.441 0.561
O36 0.457 0.430 0.841
```

Computed properties:
Magnetic moment ... 0.0 μB/f.u.


no.,DFT formation energy (kJ per mole of atoms),volume (Å³/f.u.)
1,-265,138
2,-275,336
3,-194,137
4,-218,480
5,-194,222